Entry 1:
Eu2ZrSnO6: relaxed, PBE-GGA.

Values from the calculation:
- total moment (μB/cell) = 14.0
- space group = Fm-3m
- DFT formation energy (meV/atom) = -3066
- energy with MP2020 corrections (eV per atom) = -9.342
- total DFT energy (no corrections) (eV per atom) = -8.930

Unit cell a=5.8660 b=5.8660 c=5.8660 alpha=60.00 beta=60.00 gamma=60.00
With the nearest neighbours (Å) after each atom.
Sites, in units of the cell vectors:
Eu 0.2500 0.2500 0.2500  12 O 2.93
Eu 0.7500 0.7500 0.7500  12 O 2.93
Zr 0.0000 0.0000 0.0000  6 O 2.09
Sn 0.5000 0.5000 0.5000  6 O 2.06
O 0.2520 0.2520 0.7480  1 Sn 2.06, 1 Zr 2.09
O 0.2520 0.7480 0.2520  1 Sn 2.06, 1 Zr 2.09
O 0.2520 0.7480 0.7480  1 Sn 2.06, 1 Zr 2.09
O 0.7480 0.2520 0.2520  1 Sn 2.06, 1 Zr 2.09
O 0.7480 0.2520 0.7480  1 Sn 2.06, 1 Zr 2.09
O 0.7480 0.7480 0.2520  1 Sn 2.06, 1 Zr 2.09

=====

Entry 2:
SrEuO3: relaxed, PBE-GGA.

Values from the calculation:
- total moment (μB/cell) = 5.0
- space group = Pm-3m
- DFT formation energy (meV/atom) = -2686
- energy with MP2020 corrections (eV per atom) = -8.044
- total DFT energy (no corrections) (eV per atom) = -7.632

Unit cell a=4.3836 b=4.3836 c=4.3836 alpha=90.00 beta=90.00 gamma=90.00
With the nearest neighbours (Å) after each atom.
Sites, in units of the cell vectors:
Sr 0.0000 0.0000 0.0000  12 O 3.10
Eu 0.5000 0.5000 0.5000  6 O 2.19
O 0.0000 0.5000 0.5000  2 Eu 2.19
O 0.5000 0.0000 0.5000  2 Eu 2.19
O 0.5000 0.5000 0.0000  2 Eu 2.19

=====

Entry 3:
SrEuO2: relaxed, PBE-GGA.

Values from the calculation:
- space group = R-3m
- DFT formation energy (meV/atom) = -3090
- energy with MP2020 corrections (eV per atom) = -8.551
- total DFT energy (no corrections) (eV per atom) = -8.207

Unit cell a=6.3249 b=6.3249 c=6.3249 alpha=33.41 beta=33.41 gamma=33.41
With the nearest neighbours (Å) after each atom.
Sites, in units of the cell vectors:
Sr 0.0000 0.0000 0.0000  6 O 2.60
Eu 0.5000 0.5000 0.5000  6 O 2.55
O 0.2479 0.2479 0.2479  3 Eu 2.55, 3 Sr 2.60
O 0.7521 0.7521 0.7521  3 Eu 2.55, 3 Sr 2.60

=====

Entry 4:
SrEuZrTiO6: relaxed, PBE-GGA.

Values from the calculation:
- total moment (μB/cell) = 7.0
- space group = F-43m
- DFT formation energy (meV/atom) = -3559
- energy with MP2020 corrections (eV per atom) = -9.367
- total DFT energy (no corrections) (eV per atom) = -8.954

Unit cell a=5.7792 b=5.7792 c=5.7792 alpha=60.00 beta=60.00 gamma=60.00
With the nearest neighbours (Å) after each atom.
Sites, in units of the cell vectors:
Sr 0.0000 0.0000 0.0000  12 O 2.89
Eu 0.5000 0.5000 0.5000  12 O 2.89
Zr 0.7500 0.7500 0.7500  6 O 2.10
Ti 0.2500 0.2500 0.2500  6 O 1.98
O 0.0075 0.0075 0.4925  1 Ti 1.98, 1 Zr 2.10
O 0.0075 0.4925 0.0075  1 Ti 1.98, 1 Zr 2.10
O 0.0075 0.4925 0.4925  1 Ti 1.98, 1 Zr 2.10
O 0.4925 0.0075 0.0075  1 Ti 1.98, 1 Zr 2.10
O 0.4925 0.0075 0.4925  1 Ti 1.98, 1 Zr 2.10
O 0.4925 0.4925 0.0075  1 Ti 1.98, 1 Zr 2.10

=====

Entry 5:
Eu3TaO7: relaxed, PBE-GGA.

Values from the calculation:
- total moment (μB/cell) = 36.0
- space group = C222_1
- DFT formation energy (meV/atom) = -3321
- energy with MP2020 corrections (eV per atom) = -10.345
- total DFT energy (no corrections) (eV per atom) = -9.908

Unit cell a=6.6162 b=6.6162 c=7.7178 alpha=90.00 beta=90.00 gamma=110.10
With the nearest neighbours (Å) after each atom.
Sites, in units of the cell vectors:
Eu 0.0082 0.0082 0.0000  6 O 2.38-2.59
Eu 0.0304 0.4973 0.2517  6 O 2.27-2.50
Eu 0.4973 0.0304 0.7483  6 O 2.27-2.50
Eu 0.5027 0.9696 0.2483  6 O 2.27-2.50
Eu 0.9696 0.5027 0.7517  6 O 2.27-2.50
Eu 0.9918 0.9918 0.5000  6 O 2.38-2.59
Ta 0.5000 0.5000 0.0000  6 O 1.98-2.02
Ta 0.5000 0.5000 0.5000  6 O 1.98-2.02
O 0.1278 0.8722 0.7500  4 Eu 2.30-2.38
O 0.1379 0.8621 0.2500  4 Eu 2.27-2.44
O 0.1785 0.4232 0.9733  1 Ta 2.02
O 0.1870 0.4361 0.5326  1 Ta 1.98
O 0.4232 0.1785 0.0267  1 Ta 2.02
O 0.4361 0.1870 0.4674  1 Ta 1.98
O 0.4453 0.5547 0.2500  2 Ta 2.02
O 0.5547 0.4453 0.7500  2 Ta 2.02
O 0.5639 0.8131 0.9674  1 Ta 1.98
O 0.5768 0.8215 0.5267  1 Ta 2.02
O 0.8131 0.5639 0.0326  1 Ta 1.98
O 0.8215 0.5768 0.4733  1 Ta 2.02
O 0.8621 0.1379 0.7500  4 Eu 2.27-2.44
O 0.8722 0.1278 0.2500  4 Eu 2.30-2.38

=====

Entry 6:
EuTaO4: relaxed, PBE-GGA.

Values from the calculation:
- space group = C2/c
- DFT formation energy (meV/atom) = -3351
- energy with MP2020 corrections (eV per atom) = -10.335
- total DFT energy (no corrections) (eV per atom) = -9.877

Unit cell a=6.6742 b=6.6742 c=5.1487 alpha=110.07 beta=110.07 gamma=115.10
With the nearest neighbours (Å) after each atom.
Sites, in units of the cell vectors:
Eu 0.1334 0.8666 0.7500  8 O 2.38-2.55
Eu 0.8666 0.1334 0.2500  8 O 2.38-2.55
Ta 0.4025 0.5975 0.2500  4 O 1.88-1.96
Ta 0.5975 0.4025 0.7500  4 O 1.88-1.96
O 0.1408 0.5556 0.3377  1 Ta 1.88
O 0.2356 0.2961 0.7942  1 Ta 1.96
O 0.2961 0.2356 0.2942  1 Ta 1.96
O 0.4444 0.8592 0.1623  1 Ta 1.88
O 0.5556 0.1408 0.8377  1 Ta 1.88
O 0.7039 0.7644 0.7058  1 Ta 1.96
O 0.7644 0.7039 0.2058  1 Ta 1.96
O 0.8592 0.4444 0.6623  1 Ta 1.88

=====

Entry 7:
EuTaO4: relaxed, PBE-GGA.

Values from the calculation:
- space group = P2/c
- DFT formation energy (meV/atom) = -3359
- energy with MP2020 corrections (eV per atom) = -10.343
- total DFT energy (no corrections) (eV per atom) = -9.885

Unit cell a=5.2586 b=5.6877 c=5.4299 alpha=90.00 beta=96.75 gamma=90.00
With the nearest neighbours (Å) after each atom.
Sites, in units of the cell vectors:
Eu 0.0000 0.2219 0.2500  6 O 2.35-2.43
Eu 0.0000 0.7781 0.7500  6 O 2.35-2.43
Ta 0.5000 0.3208 0.7500  4 O 1.90-2.01
Ta 0.5000 0.6792 0.2500  4 O 1.90-2.01
O 0.2532 0.0996 0.6127  1 Ta 1.90
O 0.2532 0.9004 0.1127  1 Ta 1.90
O 0.2804 0.4303 0.0068  2 Ta 2.01-2.17
O 0.2804 0.5697 0.5068  2 Ta 2.01-2.17
O 0.7196 0.4303 0.4932  2 Ta 2.01-2.17
O 0.7196 0.5697 0.9932  2 Ta 2.01-2.17
O 0.7468 0.0996 0.8873  1 Ta 1.90
O 0.7468 0.9004 0.3873  1 Ta 1.90

=====

Entry 8:
Eu3Ta5O15: relaxed, PBE-GGA.

Values from the calculation:
- total moment (μB/cell) = 41.4
- space group = P4/mbm
- DFT formation energy (meV/atom) = -3399
- energy with MP2020 corrections (eV per atom) = -10.542
- total DFT energy (no corrections) (eV per atom) = -10.094

Unit cell a=12.5833 b=12.5833 c=3.9746 alpha=90.00 beta=90.00 gamma=90.00
With the nearest neighbours (Å) after each atom.
Sites, in units of the cell vectors:
Eu 0.0000 0.0000 0.0000  12 O 2.73-2.78
Eu 0.1625 0.3375 0.0000  7 O 2.77-2.89
Eu 0.3375 0.8375 0.0000  7 O 2.77-2.89
Eu 0.5000 0.5000 0.0000  12 O 2.73-2.78
Eu 0.6625 0.1625 0.0000  7 O 2.77-2.89
Eu 0.8375 0.6625 0.0000  7 O 2.77-2.89
Ta 0.0000 0.5000 0.5000  6 O 1.99-2.00
Ta 0.0796 0.7901 0.5000  6 O 1.98-2.03
Ta 0.2099 0.0796 0.5000  6 O 1.98-2.03
Ta 0.2901 0.5796 0.5000  6 O 1.98-2.03
Ta 0.4204 0.2901 0.5000  6 O 1.98-2.03
Ta 0.5000 0.0000 0.5000  6 O 1.99-2.00
Ta 0.5796 0.7099 0.5000  6 O 1.98-2.03
Ta 0.7099 0.4204 0.5000  6 O 1.98-2.03
Ta 0.7901 0.9204 0.5000  6 O 1.98-2.03
Ta 0.9204 0.2099 0.5000  6 O 1.98-2.03
O 0.0000 0.5000 0.0000  2 Ta 1.99
O 0.0097 0.3411 0.5000  2 Ta 2.00
O 0.0628 0.1354 0.5000  2 Ta 1.98-2.02
O 0.0801 0.7943 0.0000  2 Ta 1.99
O 0.1354 0.9372 0.5000  2 Ta 1.98-2.02
O 0.1589 0.4903 0.5000  2 Ta 2.00
O 0.2057 0.0801 0.0000  2 Ta 1.99
O 0.2287 0.7287 0.5000  2 Ta 2.03
O 0.2713 0.2287 0.5000  2 Ta 2.03
O 0.2943 0.5801 0.0000  2 Ta 1.99
O 0.3411 0.9903 0.5000  2 Ta 2.00
O 0.3646 0.4372 0.5000  2 Ta 1.98-2.02
O 0.4199 0.2943 0.0000  2 Ta 1.99
O 0.4372 0.6354 0.5000  2 Ta 1.98-2.02
O 0.4903 0.8411 0.5000  2 Ta 2.00
O 0.5000 0.0000 0.0000  2 Ta 1.99
O 0.5097 0.1589 0.5000  2 Ta 2.00
O 0.5628 0.3646 0.5000  2 Ta 1.98-2.02
O 0.5801 0.7057 0.0000  2 Ta 1.99
O 0.6354 0.5628 0.5000  2 Ta 1.98-2.02
O 0.6589 0.0097 0.5000  2 Ta 2.00
O 0.7057 0.4199 0.0000  2 Ta 1.99
O 0.7287 0.7713 0.5000  2 Ta 2.03
O 0.7713 0.2713 0.5000  2 Ta 2.03
O 0.7943 0.9199 0.0000  2 Ta 1.99
O 0.8411 0.5097 0.5000  2 Ta 2.00
O 0.8646 0.0628 0.5000  2 Ta 1.98-2.02
O 0.9199 0.2057 0.0000  2 Ta 1.99
O 0.9372 0.8646 0.5000  2 Ta 1.98-2.02
O 0.9903 0.6589 0.5000  2 Ta 2.00

=====

Entry 9:
Eu2Ta2O7: relaxed, PBE-GGA.

Values from the calculation:
- total moment (μB/cell) = 27.9
- space group = Cmc2_1
- DFT formation energy (meV/atom) = -3475
- energy with MP2020 corrections (eV per atom) = -10.644
- total DFT energy (no corrections) (eV per atom) = -10.207

Unit cell a=13.6943 b=13.6943 c=5.7041 alpha=90.00 beta=90.00 gamma=163.27
With the nearest neighbours (Å) after each atom.
Sites, in units of the cell vectors:
Eu 0.0526 0.9474 0.5000  7 O 2.53-2.74
Eu 0.2110 0.7890 0.0592  5 O 2.44-2.52
Eu 0.7890 0.2110 0.5592  5 O 2.44-2.52
Eu 0.9474 0.0526 0.0000  7 O 2.53-2.74
Ta 0.3399 0.6601 0.0236  5 O 1.87-2.07
Ta 0.4436 0.5564 0.4999  5 O 1.88-2.01
Ta 0.5564 0.4436 0.9999  5 O 1.88-2.01
Ta 0.6601 0.3399 0.5236  5 O 1.87-2.07
O 0.0480 0.9520 0.9807  2 Ta 2.01
O 0.1507 0.8493 0.4947  2 Ta 2.02
O 0.2845 0.7155 0.8120  1 Ta 1.93
O 0.3005 0.6995 0.2934  1 Ta 1.87
O 0.3903 0.6097 0.7122  1 Ta 1.88
O 0.4072 0.5928 0.1960  2 Ta 2.00-2.07
O 0.4937 0.5063 0.7606  2 Ta 2.01-2.18
O 0.5063 0.4937 0.2606  2 Ta 2.01-2.18
O 0.5928 0.4072 0.6960  2 Ta 2.00-2.07
O 0.6097 0.3903 0.2122  1 Ta 1.88
O 0.6995 0.3005 0.7934  1 Ta 1.87
O 0.7155 0.2845 0.3120  1 Ta 1.93
O 0.8493 0.1507 0.9947  2 Ta 2.02
O 0.9520 0.0480 0.4807  2 Ta 2.01

=====

Entry 10:
EuTa2O6: relaxed, PBE-GGA.

Values from the calculation:
- space group = P4/mmm
- DFT formation energy (meV/atom) = -3463
- energy with MP2020 corrections (eV per atom) = -10.536
- total DFT energy (no corrections) (eV per atom) = -10.078

Unit cell a=3.9670 b=3.9670 c=8.0165 alpha=90.00 beta=90.00 gamma=90.00
With the nearest neighbours (Å) after each atom.
Sites, in units of the cell vectors:
Eu 0.0000 0.0000 0.0000  12 O 2.71-2.81
Ta 0.5000 0.5000 0.2598  6 O 1.93-2.08
Ta 0.5000 0.5000 0.7402  6 O 1.93-2.08
O 0.0000 0.5000 0.2302  2 Ta 2.00
O 0.0000 0.5000 0.7698  2 Ta 2.00
O 0.5000 0.0000 0.2302  2 Ta 2.00
O 0.5000 0.0000 0.7698  2 Ta 2.00
O 0.5000 0.5000 0.0000  2 Ta 2.08
O 0.5000 0.5000 0.5000  2 Ta 1.93

=====

Entry 11:
Eu2Ta2O7: relaxed, PBE-GGA.

Values from the calculation:
- total moment (μB/cell) = 27.8
- space group = Cmcm
- DFT formation energy (meV/atom) = -3478
- energy with MP2020 corrections (eV per atom) = -10.648
- total DFT energy (no corrections) (eV per atom) = -10.211

Unit cell a=13.8225 b=13.8225 c=5.7112 alpha=90.00 beta=90.00 gamma=163.42
With the nearest neighbours (Å) after each atom.
Sites, in units of the cell vectors:
Eu 0.0542 0.9458 0.7500  12 O 2.63-2.86
Eu 0.2148 0.7852 0.2500  6 O 2.49-2.52
Eu 0.7852 0.2148 0.7500  6 O 2.49-2.52
Eu 0.9458 0.0542 0.2500  12 O 2.63-2.86
Ta 0.3406 0.6594 0.2500  6 O 1.91-2.12
Ta 0.4457 0.5543 0.7500  6 O 1.94-2.06
Ta 0.5543 0.4457 0.2500  6 O 1.94-2.06
Ta 0.6594 0.3406 0.7500  6 O 1.91-2.12
O 0.0464 0.9536 0.2500  2 Ta 2.00
O 0.1505 0.8495 0.7500  2 Ta 2.01
O 0.2920 0.7080 0.0095  1 Ta 1.91
O 0.2920 0.7080 0.4905  1 Ta 1.91
O 0.3998 0.6002 0.0094  2 Ta 1.94-2.12
O 0.3998 0.6002 0.4906  2 Ta 1.94-2.12
O 0.5000 0.5000 0.0000  2 Ta 2.06
O 0.5000 0.5000 0.5000  2 Ta 2.06
O 0.6002 0.3998 0.5094  2 Ta 1.94-2.12
O 0.6002 0.3998 0.9906  2 Ta 1.94-2.12
O 0.7080 0.2920 0.5095  1 Ta 1.91
O 0.7080 0.2920 0.9905  1 Ta 1.91
O 0.8495 0.1505 0.2500  2 Ta 2.01
O 0.9536 0.0464 0.7500  2 Ta 2.00

=====

Entry 12:
EuTa2O6: relaxed, PBE-GGA.

Values from the calculation:
- space group = Pnma
- DFT formation energy (meV/atom) = -3478
- energy with MP2020 corrections (eV per atom) = -10.552
- total DFT energy (no corrections) (eV per atom) = -10.094

Unit cell a=11.2174 b=7.7008 c=5.5607 alpha=90.00 beta=90.00 gamma=90.00
With the nearest neighbours (Å) after each atom.
Sites, in units of the cell vectors:
Eu 0.0422 0.2500 0.0437  8 O 2.53-2.65
Eu 0.4578 0.7500 0.5437  8 O 2.53-2.65
Eu 0.5422 0.2500 0.4563  8 O 2.53-2.65
Eu 0.9578 0.7500 0.9563  8 O 2.53-2.65
Ta 0.1413 0.5037 0.5397  6 O 1.94-2.14
Ta 0.1413 0.9963 0.5397  6 O 1.94-2.14
Ta 0.3587 0.0037 0.0397  6 O 1.94-2.14
Ta 0.3587 0.4963 0.0397  6 O 1.94-2.14
Ta 0.6413 0.5037 0.9603  6 O 1.94-2.14
Ta 0.6413 0.9963 0.9603  6 O 1.94-2.14
Ta 0.8587 0.0037 0.4603  6 O 1.94-2.14
Ta 0.8587 0.4963 0.4603  6 O 1.94-2.14
O 0.0235 0.5367 0.2763  2 Ta 1.99-2.14
O 0.0235 0.9633 0.2763  2 Ta 1.99-2.14
O 0.1264 0.7500 0.6415  2 Ta 1.99
O 0.1451 0.2500 0.4611  2 Ta 2.00
O 0.2130 0.0512 0.8652  2 Ta 1.94-2.03
O 0.2130 0.4488 0.8652  2 Ta 1.94-2.03
O 0.2870 0.5512 0.3652  2 Ta 1.94-2.03
O 0.2870 0.9488 0.3652  2 Ta 1.94-2.03
O 0.3549 0.7500 0.9611  2 Ta 2.00
O 0.3736 0.2500 0.1415  2 Ta 1.99
O 0.4765 0.0367 0.7763  2 Ta 1.99-2.14
O 0.4765 0.4633 0.7763  2 Ta 1.99-2.14
O 0.5235 0.5367 0.2237  2 Ta 1.99-2.14
O 0.5235 0.9633 0.2237  2 Ta 1.99-2.14
O 0.6264 0.7500 0.8585  2 Ta 1.99
O 0.6451 0.2500 0.0389  2 Ta 2.00
O 0.7130 0.0512 0.6348  2 Ta 1.94-2.03
O 0.7130 0.4488 0.6348  2 Ta 1.94-2.03
O 0.7870 0.5512 0.1348  2 Ta 1.94-2.03
O 0.7870 0.9488 0.1348  2 Ta 1.94-2.03
O 0.8549 0.7500 0.5389  2 Ta 2.00
O 0.8736 0.2500 0.3585  2 Ta 1.99
O 0.9765 0.0367 0.7237  2 Ta 1.99-2.14
O 0.9765 0.4633 0.7237  2 Ta 1.99-2.14